Record 1
The following is a r²SCAN calculation of a geometry-optimized Cs structure, from the Materials Project database.

a b c (Å): 9.0558 10.4573 10.4573
angles (deg): 90.00 90.00 90.00
With the nearest neighbours (Å) after each atom.
Fractional positions:
Cs 0.0000 0.4401 0.7463  6 Cs 5.23-5.45
Cs 0.0000 0.5599 0.2537  6 Cs 5.23-5.45
Cs 0.5000 0.7463 0.5599  6 Cs 5.23-5.45
Cs 0.5000 0.2537 0.4401  6 Cs 5.23-5.45
Cs 0.0000 0.9401 0.7537  6 Cs 5.23-5.45
Cs 0.0000 0.0599 0.2463  6 Cs 5.23-5.45
Cs 0.5000 0.7537 0.0599  6 Cs 5.23-5.45
Cs 0.5000 0.2463 0.9401  6 Cs 5.23-5.45

Summary:
Energy above the most stable polymorph in this dataset   27 meV per atom
DFT formation energy   0.027 eV/atom

=====

Record 2
The following is a r²SCAN calculation of a geometry-optimized Ca5Bi3 structure, from the Materials Project database.

a b c (Å): 8.4565 9.7466 12.7891
angles (deg): 90.00 90.00 90.00
With the nearest neighbours (Å) after each atom.
Fractional positions:
Ca 0.3059 0.9568 0.9250  4 Bi 3.11-3.44
Ca 0.8059 0.0432 0.5750  4 Bi 3.11-3.44
Ca 0.6941 0.4568 0.0750  4 Bi 3.11-3.44
Ca 0.1941 0.5432 0.4250  4 Bi 3.11-3.44
Ca 0.6941 0.0432 0.0750  4 Bi 3.11-3.44
Ca 0.1941 0.9568 0.4250  4 Bi 3.11-3.44
Ca 0.3059 0.5432 0.9250  4 Bi 3.11-3.44
Ca 0.8059 0.4568 0.5750  4 Bi 3.11-3.44
Ca 0.6803 0.7500 0.7712  5 Bi 3.25-3.43
Ca 0.1803 0.2500 0.7288  5 Bi 3.25-3.43
Ca 0.3197 0.2500 0.2288  5 Bi 3.25-3.43
Ca 0.8197 0.7500 0.2712  5 Bi 3.25-3.43
Ca 0.1518 0.7500 0.7100  5 Bi 3.14-3.50
Ca 0.6518 0.2500 0.7900  5 Bi 3.14-3.50
Ca 0.8482 0.2500 0.2900  5 Bi 3.14-3.50
Ca 0.3482 0.7500 0.2100  5 Bi 3.14-3.50
Ca 0.5353 0.7500 0.4943  5 Bi 3.29-3.34, 2 Ca 3.63
Ca 0.0353 0.2500 0.0057  5 Bi 3.29-3.34, 2 Ca 3.63
Ca 0.4647 0.2500 0.5057  5 Bi 3.29-3.34, 2 Ca 3.63
Ca 0.9647 0.7500 0.9943  5 Bi 3.29-3.34, 2 Ca 3.63
Bi 0.9349 0.0131 0.8291  8 Ca 3.33-3.50
Bi 0.4349 0.9869 0.6709  8 Ca 3.33-3.50
Bi 0.0651 0.5131 0.1709  8 Ca 3.33-3.50
Bi 0.5651 0.4869 0.3291  8 Ca 3.33-3.50
Bi 0.0651 0.9869 0.1709  8 Ca 3.33-3.50
Bi 0.5651 0.0131 0.3291  8 Ca 3.33-3.50
Bi 0.9349 0.4869 0.8291  8 Ca 3.33-3.50
Bi 0.4349 0.5131 0.6709  8 Ca 3.33-3.50
Bi 0.5777 0.7500 0.0165  7 Ca 3.11-3.29
Bi 0.0777 0.2500 0.4835  7 Ca 3.11-3.29
Bi 0.4223 0.2500 0.9835  7 Ca 3.11-3.29
Bi 0.9223 0.7500 0.5165  7 Ca 3.11-3.29

Summary:
DFT formation energy   -1.016 eV/atom

=====

Record 3
The following is a r²SCAN calculation of a geometry-optimized P3Rh4 structure, from the Materials Project database.

a b c (Å): 3.3361 10.0239 11.7115
angles (deg): 90.00 90.00 90.00
With the nearest neighbours (Å) after each atom.
Fractional positions:
P 0.7500 0.9204 0.6299  6 Rh 2.28-2.55
P 0.7500 0.0803 0.8727  5 Rh 2.28-2.50
P 0.7500 0.2414 0.6229  5 Rh 2.27-2.45
P 0.2500 0.0796 0.3701  6 Rh 2.28-2.55
P 0.2500 0.7414 0.8771  5 Rh 2.27-2.45
P 0.2500 0.5803 0.6273  5 Rh 2.28-2.50
P 0.2500 0.9197 0.1273  5 Rh 2.28-2.50
P 0.7500 0.5796 0.1299  6 Rh 2.28-2.55
P 0.2500 0.4204 0.8701  6 Rh 2.28-2.55
P 0.7500 0.2586 0.1229  5 Rh 2.27-2.45
P 0.7500 0.4197 0.3727  5 Rh 2.28-2.50
P 0.2500 0.7586 0.3771  5 Rh 2.27-2.45
Rh 0.2500 0.9286 0.7685  3 P 2.27-2.33
Rh 0.2500 0.4031 0.0643  5 P 2.28-2.55
Rh 0.7500 0.8832 0.9714  5 P 2.29-2.50
Rh 0.7500 0.5969 0.9357  5 P 2.28-2.55
Rh 0.2500 0.2926 0.2977  3 P 2.28-2.30
Rh 0.2500 0.3832 0.5286  5 P 2.29-2.50
Rh 0.7500 0.0714 0.2315  3 P 2.27-2.33
Rh 0.2500 0.0969 0.5643  5 P 2.28-2.55
Rh 0.2500 0.5714 0.2685  3 P 2.27-2.33
Rh 0.7500 0.6168 0.4714  5 P 2.29-2.50
Rh 0.7500 0.9031 0.4357  5 P 2.28-2.55
Rh 0.7500 0.4286 0.7315  3 P 2.27-2.33
Rh 0.2500 0.1168 0.0286  5 P 2.29-2.50
Rh 0.7500 0.7926 0.2023  3 P 2.28-2.30
Rh 0.7500 0.7074 0.7023  3 P 2.28-2.30
Rh 0.2500 0.2074 0.7977  3 P 2.28-2.30

Summary:
DFT formation energy   -0.773 eV/atom

=====

Record 4
The following is a r²SCAN calculation of a geometry-optimized Dy3AlC structure, from the Materials Project database.

a b c (Å): 4.8703 4.8703 4.8703
angles (deg): 90.00 90.00 90.00
With the nearest neighbours (Å) after each atom.
Fractional positions:
Dy 0.0000 0.5000 0.5000  2 C 2.44
Dy 0.5000 0.0000 0.5000  2 C 2.44
Dy 0.5000 0.5000 0.0000  2 C 2.44
Al 0.0000 0.0000 0.0000  12 Dy 3.44
C 0.5000 0.5000 0.5000  6 Dy 2.44

Summary:
DFT formation energy   -0.529 eV/atom

=====

Record 5
The following is a r²SCAN calculation of a geometry-optimized TaNbAl6 structure, from the Materials Project database.

a b c (Å): 3.8337 3.8337 8.5356
angles (deg): 90.00 90.00 90.00
With the nearest neighbours (Å) after each atom.
Fractional positions:
Ta 0.5000 0.5000 0.5000  12 Al 2.71-2.86
Nb 0.0000 0.0000 0.0000  12 Al 2.71-2.88
Al 0.5000 0.5000 0.0000  4 Nb 2.71, 8 Al 2.88
Al 0.0000 0.0000 0.5000  4 Ta 2.71, 8 Al 2.86
Al 0.0000 0.5000 0.2511  8 Al 2.71-2.88, 2 Ta 2.86, 2 Nb 2.88
Al 0.5000 0.0000 0.7489  8 Al 2.71-2.88, 2 Ta 2.86, 2 Nb 2.88
Al 0.5000 0.0000 0.2511  8 Al 2.71-2.88, 2 Ta 2.86, 2 Nb 2.88
Al 0.0000 0.5000 0.7489  8 Al 2.71-2.88, 2 Ta 2.86, 2 Nb 2.88

Summary:
DFT formation energy   -0.435 eV/atom

=====

Record 6
The following is a r²SCAN calculation of a geometry-optimized BaNaGaF6 structure, from the Materials Project database.

a b c (Å): 5.5081 9.9736 18.8516
angles (deg): 90.00 90.00 90.00
With the nearest neighbours (Å) after each atom.
Fractional positions:
Ba 0.7614 0.3680 0.1095  7 F 2.61-2.89
Ba 0.2386 0.8680 0.8905  7 F 2.61-2.89
Ba 0.7386 0.3680 0.6095  7 F 2.61-2.89
Ba 0.2614 0.8680 0.3905  7 F 2.61-2.89
Ba 0.2684 0.0006 0.1398  8 F 2.62-2.88
Ba 0.7316 0.5006 0.8602  8 F 2.62-2.88
Ba 0.2316 0.0006 0.6398  8 F 2.62-2.88
Ba 0.7684 0.5006 0.3602  8 F 2.62-2.88
Na 0.2682 0.6358 0.0671  7 F 2.29-2.51
Na 0.7318 0.1358 0.9329  7 F 2.29-2.51
Na 0.2318 0.6358 0.5671  7 F 2.29-2.51
Na 0.7682 0.1358 0.4329  7 F 2.29-2.51
Na 0.2598 0.2322 0.3141  7 F 2.30-2.53
Na 0.7402 0.7322 0.6859  7 F 2.30-2.53
Na 0.2402 0.2322 0.8141  7 F 2.30-2.53
Na 0.7598 0.7322 0.1859  7 F 2.30-2.53
Ga 0.2750 0.2588 0.4918  6 F 1.88-1.92
Ga 0.7250 0.7588 0.5082  6 F 1.88-1.92
Ga 0.2250 0.2588 0.9918  6 F 1.88-1.92
Ga 0.7750 0.7588 0.0082  6 F 1.88-1.92
Ga 0.2469 0.6082 0.2427  6 F 1.88-1.92
Ga 0.7531 0.1082 0.7573  6 F 1.88-1.92
Ga 0.2531 0.6082 0.7427  6 F 1.88-1.92
Ga 0.7469 0.1082 0.2573  6 F 1.88-1.92
F 0.0253 0.1681 0.0597  1 Ga 1.92
F 0.9747 0.6681 0.9403  1 Ga 1.92
F 0.4747 0.1681 0.5597  1 Ga 1.92
F 0.5253 0.6681 0.4403  1 Ga 1.92
F 0.3543 0.1184 0.4269  1 Ga 1.91
F 0.6457 0.6184 0.5731  1 Ga 1.91
F 0.1457 0.1184 0.9269  1 Ga 1.91
F 0.8543 0.6184 0.0731  1 Ga 1.91
F 0.4917 0.1622 0.0313  1 Ga 1.91
F 0.5083 0.6622 0.9687  1 Ga 1.91
F 0.0083 0.1622 0.5313  1 Ga 1.91
F 0.9917 0.6622 0.4687  1 Ga 1.91
F 0.4569 0.5437 0.1720  1 Ga 1.88
F 0.5431 0.0437 0.8280  1 Ga 1.88
F 0.0431 0.5437 0.6720  1 Ga 1.88
F 0.9569 0.0437 0.3280  1 Ga 1.88
F 0.5351 0.1994 0.1922  1 Ga 1.92
F 0.4649 0.6994 0.8078  1 Ga 1.92
F 0.9649 0.1994 0.6922  1 Ga 1.92
F 0.0351 0.6994 0.3078  1 Ga 1.92
F 0.3027 0.4670 0.3078  1 Ga 1.89
F 0.6973 0.9670 0.6922  1 Ga 1.89
F 0.1973 0.4670 0.8078  1 Ga 1.89
F 0.8027 0.9670 0.1922  1 Ga 1.89
F 0.0712 0.3223 0.4190  1 Ga 1.88
F 0.9288 0.8223 0.5810  1 Ga 1.88
F 0.4288 0.3223 0.9190  1 Ga 1.88
F 0.5712 0.8223 0.0810  1 Ga 1.88
F 0.0093 0.2048 0.2164  1 Ga 1.90
F 0.9907 0.7048 0.7836  1 Ga 1.90
F 0.4907 0.2048 0.7164  1 Ga 1.90
F 0.5093 0.7048 0.2836  1 Ga 1.90
F 0.5668 0.3489 0.4652  1 Ga 1.91
F 0.4332 0.8489 0.5348  1 Ga 1.91
F 0.9332 0.3489 0.9652  1 Ga 1.91
F 0.0668 0.8489 0.0348  1 Ga 1.91
F 0.1754 0.7488 0.1772  1 Ga 1.91
F 0.8246 0.2488 0.8228  1 Ga 1.91
F 0.3246 0.7488 0.6772  1 Ga 1.91
F 0.6754 0.2488 0.3228  1 Ga 1.91
F 0.2896 0.4014 0.0554  1 Ga 1.89
F 0.7104 0.9014 0.9446  1 Ga 1.89
F 0.2104 0.4014 0.5554  1 Ga 1.89
F 0.7896 0.9014 0.4446  1 Ga 1.89
F 0.4593 0.0171 0.2860  1 Ga 1.91
F 0.5407 0.5171 0.7140  1 Ga 1.91
F 0.0407 0.0171 0.7860  1 Ga 1.91
F 0.9593 0.5171 0.2140  1 Ga 1.91

Summary:
DFT formation energy   -3.381 eV/atom